Record 1
This record from the Materials Project describes a relaxed structure of Li5V3P8O29. The functional is PBE with a Hubbard U.

Unit cell a=9.7915 b=9.8029 c=13.9602 alpha=89.91 beta=89.84 gamma=60.04
With the nearest neighbours (Å) after each atom.
Atoms (fractional coordinates):
Li: 0.0000 0.0000 0.0000  3 O 1.93-2.11
Li: 0.0006 0.4437 0.5051  4 O 1.95-2.11
Li: 0.0959 0.6760 0.4409  6 O 2.30-2.43
Li: 0.1891 0.3560 0.8815  3 O 1.88-2.07
Li: 0.3201 0.7639 0.8799  3 O 1.93-2.03
Li: 0.4187 0.5831 0.5038  4 O 1.95-2.13
Li: 0.7545 0.3452 0.3270  1 O 1.85
Li: 0.7711 0.9039 0.8794  4 O 1.97-2.20
Li: 0.8603 0.0021 0.5046  4 O 1.95-2.11
Li: 0.8637 0.5823 0.0013  3 O 1.94-2.05
V: 0.0943 0.2419 0.6902  6 O 1.87-2.02
V: 0.1002 0.1029 0.1962  6 O 1.81-1.97
V: 0.5182 0.2485 0.1890  6 O 1.85-2.05
V: 0.5267 0.6759 0.6908  6 O 1.87-2.00
V: 0.6574 0.1114 0.6912  6 O 1.85-2.02
V: 0.6610 0.6787 0.1921  6 O 1.86-2.01
P: 0.0024 0.4501 0.2852  4 O 1.49-1.62
P: 0.0051 0.9967 0.7839  4 O 1.50-1.60
P: 0.1784 0.3591 0.1011  4 O 1.50-1.61
P: 0.1783 0.9022 0.5995  4 O 1.50-1.63
P: 0.3201 0.3661 0.5980  4 O 1.50-1.61
P: 0.3246 0.7624 0.0995  4 O 1.48-1.61
P: 0.4081 0.5862 0.2839  4 O 1.49-1.62
P: 0.4099 0.4447 0.7846  4 O 1.48-1.61
P: 0.4256 0.0088 0.8134  4 O 1.49-1.58
P: 0.4311 0.0111 0.3137  4 O 1.47-1.62
P: 0.7612 0.3427 0.5675  4 O 1.51-1.57
P: 0.7647 0.3386 0.0708  4 O 1.49-1.59
P: 0.7757 0.9088 0.1003  4 O 1.50-1.62
P: 0.7822 0.7618 0.6002  4 O 1.50-1.63
P: 0.8612 0.5884 0.7845  4 O 1.51-1.60
P: 0.8651 0.9930 0.2855  4 O 1.49-1.62
O: 0.0090 0.4228 0.7836  1 P 1.54
O: 0.0101 0.0191 0.2761  1 P 1.57
O: 0.0806 0.4545 0.3753  1 P 1.49
O: 0.0887 0.8875 0.5174  1 P 1.50
O: 0.0913 0.4354 0.0108  1 P 1.50
O: 0.0917 0.4687 0.1926  2 P 1.61-1.62
O: 0.0930 0.9249 0.8753  1 P 1.50
O: 0.1012 0.8804 0.6977  2 P 1.60-1.63
O: 0.1760 0.3390 0.6033  1 P 1.56
O: 0.1769 0.9325 0.1054  1 P 1.57
O: 0.1787 0.0573 0.6095  1 P 1.53
O: 0.1857 0.2010 0.1205  1 P 1.54
O: 0.2777 0.0161 0.2673  1 P 1.62, 1 V 1.81
O: 0.2788 0.1616 0.7714  1 P 1.58
O: 0.3014 0.4692 0.6924  2 P 1.61
O: 0.3015 0.6764 0.1918  2 P 1.61-1.62
O: 0.3066 0.4662 0.5134  1 P 1.50
O: 0.3221 0.6620 0.3742  1 P 1.49
O: 0.3272 0.6862 0.0076  1 P 1.48
O: 0.3296 0.4338 0.8719  1 P 1.48
O: 0.3468 0.3360 0.1041  1 P 1.55
O: 0.3499 0.7597 0.6024  1 P 1.56
O: 0.4166 0.0219 0.4190  1 P 1.47
O: 0.4202 0.8611 0.7727  1 P 1.58
O: 0.4228 0.0106 0.9204  1 P 1.49
O: 0.4310 0.1586 0.2662  1 P 1.59
O: 0.4324 0.4167 0.2739  1 P 1.56
O: 0.4330 0.5900 0.7822  1 P 1.55
O: 0.4731 0.2091 0.6102  1 P 1.53
O: 0.4761 0.7685 0.1207  1 P 1.54
O: 0.5712 0.2930 0.7638  1 P 1.56
O: 0.5726 0.5698 0.2721  1 P 1.54
O: 0.5734 0.8655 0.2699  1 P 1.54
O: 0.5797 0.0030 0.7734  1 P 1.58
O: 0.6052 0.4875 0.6054  1 P 1.57
O: 0.6172 0.0591 0.1200  1 P 1.54
O: 0.6186 0.3359 0.1193  1 P 1.59
O: 0.6257 0.7640 0.6116  1 P 1.53
O: 0.7116 0.5779 0.7641  1 P 1.55
O: 0.7153 0.1558 0.2736  1 P 1.55
O: 0.7537 0.9330 0.6034  1 P 1.56
O: 0.7579 0.7609 0.0998  1 P 1.54
O: 0.7636 0.3432 0.4591  1 P 1.51
O: 0.7648 0.4894 0.1079  1 P 1.57
O: 0.7664 0.3278 0.9645  1 P 1.49
O: 0.7707 0.1876 0.6052  1 P 1.57
O: 0.8328 0.5910 0.2758  1 P 1.55
O: 0.8408 0.0111 0.7825  1 P 1.54
O: 0.8469 0.6760 0.8760  1 P 1.51
O: 0.8520 0.9219 0.0100  1 P 1.50
O: 0.8769 0.9062 0.3756  1 P 1.49
O: 0.8824 0.6831 0.6977  2 P 1.60-1.63
O: 0.8844 0.8862 0.1926  2 P 1.62
O: 0.8852 0.6722 0.5173  1 P 1.50
O: 0.9051 0.3540 0.6066  1 P 1.57
O: 0.9144 0.1892 0.1146  1 P 1.59
O: 0.9900 0.2985 0.2710  1 P 1.56
O: 0.9921 0.1577 0.7623  1 P 1.55

Output
- symmetry = P1 (1)
- polymorph energy (0 for the lowest one) (meV per atom) = 5
- energy of formation (eV/atom) = -2.6157


Record 2
This record from the Materials Project describes a relaxed structure of Li3V3P4O16. The functional is PBE with a Hubbard U.

Unit cell a=10.1095 b=10.1095 c=10.6013 alpha=91.53 beta=91.53 gamma=37.27
With the nearest neighbours (Å) after each atom.
Atoms (fractional coordinates):
Li: 0.0255 0.9745 0.7500  2 O 1.99
Li: 0.3379 0.5263 0.4489  2 O 1.93-2.11
Li: 0.4737 0.6621 0.0511  2 O 1.93-2.11
Li: 0.5263 0.3379 0.9489  2 O 1.93-2.11
Li: 0.6621 0.4737 0.5511  2 O 1.93-2.11
Li: 0.9745 0.0255 0.2500  2 O 1.99
V: 0.0000 0.5000 0.0000  6 O 1.96-2.04
V: 0.1407 0.1712 0.7432  6 O 1.95-2.12
V: 0.1712 0.1407 0.2432  6 O 1.95-2.12
V: 0.5000 0.0000 0.5000  6 O 1.96-2.04
V: 0.8288 0.8593 0.7568  6 O 1.95-2.12
V: 0.8593 0.8288 0.2568  6 O 1.95-2.12
P: 0.0812 0.7553 0.0033  4 O 1.52-1.58
P: 0.2447 0.9188 0.4967  4 O 1.51-1.58
P: 0.2828 0.3189 0.7483  4 O 1.53-1.60
P: 0.3189 0.2828 0.2483  4 O 1.53-1.60
P: 0.6811 0.7172 0.7517  4 O 1.53-1.60
P: 0.7172 0.6811 0.2517  4 O 1.53-1.60
P: 0.7553 0.0812 0.5033  4 O 1.52-1.58
P: 0.9188 0.2447 0.9967  4 O 1.51-1.58
O: 0.0338 0.1235 0.8685  1 P 1.56
O: 0.0840 0.0872 0.6070  1 P 1.58
O: 0.0872 0.0840 0.1070  1 P 1.58
O: 0.1235 0.0338 0.3685  1 P 1.56
O: 0.1340 0.5546 0.7216  1 P 1.53
O: 0.1491 0.5526 0.9976  1 P 1.56
O: 0.1830 0.5122 0.2868  1 P 1.53
O: 0.1870 0.2997 0.8528  1 P 1.60
O: 0.2200 0.2733 0.1357  1 P 1.59
O: 0.2733 0.2200 0.6357  1 P 1.59
O: 0.2851 0.6746 0.9837  1 P 1.52
O: 0.2997 0.1870 0.3528  1 P 1.60
O: 0.3254 0.7149 0.5163  1 P 1.51
O: 0.4454 0.8660 0.7784  1 P 1.53
O: 0.4474 0.8509 0.5024  1 P 1.56
O: 0.4878 0.8170 0.2132  1 P 1.53
O: 0.5122 0.1830 0.7868  1 P 1.53
O: 0.5526 0.1491 0.4976  1 P 1.56
O: 0.5546 0.1340 0.2216  1 P 1.53
O: 0.6746 0.2851 0.4837  1 P 1.52
O: 0.7003 0.8130 0.6472  1 P 1.60
O: 0.7149 0.3254 0.0163  1 P 1.51
O: 0.7267 0.7800 0.3643  1 P 1.59
O: 0.7800 0.7267 0.8643  1 P 1.59
O: 0.8130 0.7003 0.1472  1 P 1.60
O: 0.8170 0.4878 0.7132  1 P 1.53
O: 0.8509 0.4474 0.0024  1 P 1.56
O: 0.8660 0.4454 0.2784  1 P 1.53
O: 0.8765 0.9662 0.6315  1 P 1.56
O: 0.9128 0.9160 0.8930  1 P 1.58
O: 0.9160 0.9128 0.3930  1 P 1.58
O: 0.9662 0.8765 0.1315  1 P 1.56

Output
- symmetry = C2/c (15)
- polymorph energy (0 for the lowest one) (meV per atom) = 16
- energy of formation (eV/atom) = -2.6942


Q: What is the polymorph energy (0 for the lowest one) in the second record?
A: 16 meV per atom